The following is a r²SCAN calculation of a relaxed structure of TmZr, from Materials Project. Values from VASP.

Formation energy from the elements in eV/atom: 0.0608

Quantum ESPRESSO input file:
```
&SYSTEM
  ibrav = 0, nat = 2, ntyp = 2
/
ATOMIC_SPECIES
Tm 168.93 Tm.upf
Zr 91.22 Zr.upf
ATOMIC_POSITIONS crystal
Tm 0.000 0.000 0.000
Zr 0.667 0.333 0.500
CELL_PARAMETERS angstrom
3.391 0.000 0.000
-1.696 2.937 0.000
0.000 0.000 5.284
```